# 1
A plane-wave DFT calculation with r2SCAN was carried out for a geometry-optimized ErRe2 structure.

The crystal system is hexagonal. The formation energy is -0.327 eV/atom. The value obtained for the total moment is 0.00 μB per formula unit.

The structure belongs to space group P6_3/mmc (No. 194); the cell edges are 5.3828, 5.3828 and 8.7605 Å and the angles 90.00°, 90.00° and 120.00°. The asymmetric unit holds Er at (0.3333, 0.6667, 0.0624), Re at (0.0000, 0.0000, 0.0000) and Re at (0.1712, 0.3424, 0.7500).

# 2
A plane-wave DFT calculation with r2SCAN was carried out for a geometry-optimized Er2Re3Si5 structure.

The crystal system is tetragonal. The formation energy is -0.635 eV/atom. The value obtained for the total moment is 0.00 μB per formula unit.

The structure belongs to space group P4/mnc (No. 128); the cell edges are 10.925, 10.925 and 5.467 Å and the angles 90.00°, 90.00° and 90.00°. The asymmetric unit holds Er at (0.078, 0.237, 0.000), Re at (0.000, 0.500, 0.250), Re at (0.124, 0.853, 0.500), Si at (0.000, 0.000, 0.244), Si at (0.027, 0.314, 0.500) and Si at (0.172, 0.672, 0.250).

# 3
A plane-wave DFT calculation with r2SCAN was carried out for a geometry-optimized Er7Rh3 structure.

The crystal system is hexagonal. The formation energy is -0.685 eV/atom. The value obtained for the total moment is 0.00 μB per formula unit.

The structure belongs to space group P6_3mc (No. 186); the cell edges are 9.6510, 9.6510 and 6.0963 Å and the angles 90.00°, 90.00° and 120.00°. The asymmetric unit holds Er at (0.0830, 0.5415, 0.0000), Er at (0.1238, 0.2476, 0.6913), Er at (0.3333, 0.6667, 0.4853) and Rh at (0.1896, 0.3793, 0.2645).

# 4
A plane-wave DFT calculation with r2SCAN was carried out for a geometry-optimized ErRh structure.

The crystal system is cubic. The formation energy is -1.012 eV/atom. The value obtained for the total moment is 0.00 μB per formula unit.

The structure belongs to space group Pm-3m (No. 221); the cell edges are 3.367, 3.367 and 3.367 Å and the angles 90.00°, 90.00° and 90.00°. The asymmetric unit holds Er at (0.000, 0.000, 0.000) and Rh at (0.500, 0.500, 0.500).

# 5
A plane-wave DFT calculation with r2SCAN was carried out for a geometry-optimized ErRh2 structure.

The crystal system is cubic. The formation energy is -0.821 eV/atom. The value obtained for the total moment is 0.00 μB per formula unit.

The structure belongs to space group Fd-3m (No. 227, origin choice 2); the cell edges are 7.454, 7.454 and 7.454 Å and the angles 90.00°, 90.00° and 90.00°. The asymmetric unit holds Er at (0.125, 0.125, 0.125) and Rh at (0.000, 0.000, 0.500).

# 6
A plane-wave DFT calculation with r2SCAN was carried out for a geometry-optimized Er5Rh3 structure.

The crystal system is hexagonal. The formation energy is -0.801 eV/atom. The value obtained for the total moment is 0.60 μB per formula unit.

The structure belongs to space group P6_3/mcm (No. 193); the cell edges are 8.1473, 8.1473 and 6.1999 Å and the angles 90.00°, 90.00° and 120.00°. The asymmetric unit holds Er at (0.0000, 0.2538, 0.2500), Er at (0.3333, 0.6667, 0.0000) and Rh at (0.0000, 0.3964, 0.7500).

# 7
A plane-wave DFT calculation with r2SCAN was carried out for a geometry-optimized Er2RuRh structure.

The crystal system is cubic. The formation energy is -0.742 eV/atom. The value obtained for the total moment is 0.00 μB per formula unit.

The structure belongs to space group Fm-3m (No. 225); the cell edges are 6.706, 6.706 and 6.706 Å and the angles 90.00°, 90.00° and 90.00°. The asymmetric unit holds Er at (0.250, 0.250, 0.250), Ru at (0.000, 0.000, 0.000) and Rh at (0.000, 0.000, 0.500).

# 8
A plane-wave DFT calculation with r2SCAN was carried out for a geometry-optimized ErSbRh structure.

The crystal system is orthorhombic. The formation energy is -1.095 eV/atom. The value obtained for the total moment is 0.00 μB per formula unit.

The structure belongs to space group Pnma (No. 62); the cell edges are 7.087, 4.530 and 7.745 Å and the angles 90.00°, 90.00° and 90.00°. The asymmetric unit holds Er at (0.009, 0.250, 0.203), Sb at (0.196, 0.250, 0.592) and Rh at (0.196, 0.750, 0.420).

# 9
A plane-wave DFT calculation with r2SCAN was carried out for a geometry-optimized ErSiRh2 structure.

The crystal system is hexagonal. The formation energy is -1.099 eV/atom. The value obtained for the total moment is 0.00 μB per formula unit.

The structure belongs to space group P6_3/mmc (No. 194); the cell edges are 5.4934, 5.4934 and 14.9418 Å and the angles 90.00°, 90.00° and 120.00°. The asymmetric unit holds Er at (0.3333, 0.6667, 0.0367), Er at (0.3333, 0.6667, 0.2500), Si at (0.0000, 0.0000, 0.0000), Si at (0.0000, 0.0000, 0.2500), Si at (0.3333, 0.6667, 0.7500) and Rh at (0.1666, 0.3332, 0.6303).

# 10
A plane-wave DFT calculation with r2SCAN was carried out for a geometry-optimized ErSiRh structure.

The crystal system is orthorhombic. The formation energy is -1.144 eV/atom. The value obtained for the total moment is 0.00 μB per formula unit.

The structure belongs to space group Pnma (No. 62); the cell edges are 6.820, 4.206 and 7.329 Å and the angles 90.00°, 90.00° and 90.00°. The asymmetric unit holds Er at (0.001, 0.250, 0.190), Si at (0.204, 0.250, 0.606) and Rh at (0.153, 0.750, 0.432).

# 11
A plane-wave DFT calculation with r2SCAN was carried out for a geometry-optimized Er2Si3Rh structure.

The crystal system is hexagonal. The formation energy is -0.992 eV/atom. The value obtained for the total moment is 0.00 μB per formula unit.

The structure belongs to space group P6_3/mmc (No. 194); the cell edges are 8.0991, 8.0991 and 7.8042 Å and the angles 90.00°, 90.00° and 120.00°. The asymmetric unit holds Er at (0.0000, 0.0000, 0.2500), Er at (0.0171, 0.5086, 0.2500), Si at (0.1669, 0.3339, 0.9995) and Rh at (0.3333, 0.6667, 0.5320).

# 12
A plane-wave DFT calculation with r2SCAN was carried out for a geometry-optimized ErSnRh structure.

The crystal system is hexagonal. The formation energy is -0.969 eV/atom. The value obtained for the total moment is 0.00 μB per formula unit.

The structure belongs to space group P-62m (No. 189); the cell edges are 7.5482, 7.5482 and 3.7320 Å and the angles 90.00°, 90.00° and 120.00°. The asymmetric unit holds Er at (0.0000, 0.5962, 0.0000), Sn at (0.0000, 0.2650, 0.5000), Rh at (0.0000, 0.0000, 0.0000) and Rh at (0.3333, 0.6667, 0.5000).

> formation energy of number 4 (ErRh)?

-1.012 eV/atom

> Among the records above, which one has the lowest formation energy?

ErSiRh